1.
The following is a GGA-PBE calculation of a relaxed Ho3Ge3Ru2 crystal, from the Materials Project.

Properties
space group: Cmcm, No. 63

Unit cell a=5.8143 b=5.8143 c=13.9206 alpha=90.00 beta=90.00 gamma=136.99
Fractional coordinates of all 16 atoms:
1 Ho 0.0782 0.9218 0.6131
2 Ho 0.0782 0.9218 0.8869
3 Ho 0.3534 0.6466 0.7500
4 Ho 0.6466 0.3534 0.2500
5 Ho 0.9218 0.0782 0.1131
6 Ho 0.9218 0.0782 0.3869
7 Ge 0.3361 0.6639 0.2500
8 Ge 0.3843 0.6157 0.5406
9 Ge 0.3843 0.6157 0.9594
10 Ge 0.6157 0.3843 0.0406
11 Ge 0.6157 0.3843 0.4594
12 Ge 0.6639 0.3361 0.7500
13 Ru 0.2133 0.7867 0.0827
14 Ru 0.2133 0.7867 0.4173
15 Ru 0.7867 0.2133 0.5827
16 Ru 0.7867 0.2133 0.9173



2.
The following is a GGA-PBE calculation of a relaxed Ho3Ge13Ru4 crystal, from the Materials Project.

Properties
space group: Pm-3n, No. 223
M_tot: 0.0 μB/f.u.

Unit cell a=9.0342 b=9.0342 c=9.0342 alpha=90.00 beta=90.00 gamma=90.00
Fractional coordinates of all 40 atoms:
1 Ho 0.0000 0.2500 0.5000
2 Ho 0.0000 0.7500 0.5000
3 Ho 0.2500 0.5000 0.0000
4 Ho 0.5000 0.0000 0.2500
5 Ho 0.5000 0.0000 0.7500
6 Ho 0.7500 0.5000 0.0000
7 Ge 0.0000 0.0000 0.0000
8 Ge 0.0000 0.3068 0.1490
9 Ge 0.0000 0.3068 0.8510
10 Ge 0.0000 0.6932 0.1490
11 Ge 0.0000 0.6932 0.8510
12 Ge 0.1490 0.0000 0.3068
13 Ge 0.1490 0.0000 0.6932
14 Ge 0.1932 0.5000 0.3510
15 Ge 0.1932 0.5000 0.6490
16 Ge 0.3068 0.1490 0.0000
17 Ge 0.3068 0.8510 0.0000
18 Ge 0.3510 0.1932 0.5000
19 Ge 0.3510 0.8068 0.5000
20 Ge 0.5000 0.3510 0.1932
21 Ge 0.5000 0.3510 0.8068
22 Ge 0.5000 0.5000 0.5000
23 Ge 0.5000 0.6490 0.1932
24 Ge 0.5000 0.6490 0.8068
25 Ge 0.6490 0.1932 0.5000
26 Ge 0.6490 0.8068 0.5000
27 Ge 0.6932 0.1490 0.0000
28 Ge 0.6932 0.8510 0.0000
29 Ge 0.8068 0.5000 0.3510
30 Ge 0.8068 0.5000 0.6490
31 Ge 0.8510 0.0000 0.3068
32 Ge 0.8510 0.0000 0.6932
33 Ru 0.2500 0.2500 0.2500
34 Ru 0.2500 0.2500 0.7500
35 Ru 0.2500 0.7500 0.2500
36 Ru 0.2500 0.7500 0.7500
37 Ru 0.7500 0.2500 0.2500
38 Ru 0.7500 0.2500 0.7500
39 Ru 0.7500 0.7500 0.2500
40 Ru 0.7500 0.7500 0.7500



3.
The following is a GGA-PBE calculation of a relaxed HoScGe crystal, from the Materials Project.

Properties
space group: Amm2, No. 38
M_tot: 0.0 μB/f.u.

Unit cell a=6.1870 b=8.6873 c=8.6873 alpha=116.25 beta=90.00 gamma=90.00
Fractional coordinates of all 18 atoms:
1 Ho 0.0000 0.0000 0.0000
2 Ho 0.0000 0.4868 0.7437
3 Ho 0.0000 0.7437 0.4868
4 Ho 0.5000 0.0402 0.7722
5 Ho 0.5000 0.4447 0.4447
6 Ho 0.5000 0.7722 0.0402
7 Sc 0.2516 0.0898 0.4031
8 Sc 0.2516 0.4031 0.0898
9 Sc 0.5000 0.3852 0.7525
10 Sc 0.5000 0.7525 0.3852
11 Sc 0.7484 0.0898 0.4031
12 Sc 0.7484 0.4031 0.0898
13 Ge 0.0000 0.1597 0.7579
14 Ge 0.0000 0.3408 0.3408
15 Ge 0.0000 0.7579 0.1597
16 Ge 0.2941 0.7276 0.7276
17 Ge 0.5000 0.1326 0.1326
18 Ge 0.7059 0.7276 0.7276



4.
The following is a GGA-PBE calculation of a relaxed Ho4SiGe3 crystal, from the Materials Project.

Properties
space group: Pmm2, No. 25

Unit cell a=3.9225 b=4.2682 c=10.6385 alpha=90.00 beta=90.00 gamma=90.00
Fractional coordinates of all 8 atoms:
1 Ho 0.0000 0.0000 0.0000
2 Ho 0.0000 0.5000 0.4977
3 Ho 0.5000 0.0000 0.7207
4 Ho 0.5000 0.5000 0.2217
5 Si 0.0000 0.0000 0.2772
6 Ge 0.0000 0.5000 0.7747
7 Ge 0.5000 0.0000 0.4419
8 Ge 0.5000 0.5000 0.9447



5.
The following is a GGA-PBE calculation of a relaxed Ho2SiGe crystal, from the Materials Project.

Properties
space group: Amm2, No. 38

Unit cell a=3.8810 b=5.7073 c=5.7073 alpha=43.94 beta=90.00 gamma=90.00
Fractional coordinates of all 4 atoms:
1 Ho 0.0000 0.0000 0.0000
2 Ho 0.5000 0.2788 0.2788
3 Si 0.5000 0.5571 0.5571
4 Ge 0.0000 0.7199 0.7199



6.
The following is a GGA-PBE calculation of a relaxed HoTiGe crystal, from the Materials Project.

Properties
space group: P4/nmm, No. 129

Unit cell a=4.0445 b=4.0445 c=7.6355 alpha=90.00 beta=90.00 gamma=90.00
Fractional coordinates of all 6 atoms:
1 Ho 0.2500 0.2500 0.1565
2 Ho 0.7500 0.7500 0.8435
3 Ti 0.2500 0.7500 0.5000
4 Ti 0.7500 0.2500 0.5000
5 Ge 0.2500 0.2500 0.7464
6 Ge 0.7500 0.7500 0.2536



7.
The following is a GGA-PBE calculation of a relaxed HoZnGe crystal, from the Materials Project.

Properties
space group: P6_3/mmc, No. 194

Unit cell a=4.2312 b=4.2312 c=15.4635 alpha=90.00 beta=90.00 gamma=120.00
Fractional coordinates of all 12 atoms:
1 Ho 0.0000 0.0000 0.0000
2 Ho 0.0000 0.0000 0.2500
3 Ho 0.0000 0.0000 0.5000
4 Ho 0.0000 0.0000 0.7500
5 Zn 0.3333 0.6667 0.1462
6 Zn 0.3333 0.6667 0.3538
7 Zn 0.6667 0.3333 0.6462
8 Zn 0.6667 0.3333 0.8538
9 Ge 0.3333 0.6667 0.6112
10 Ge 0.3333 0.6667 0.8888
11 Ge 0.6667 0.3333 0.1112
12 Ge 0.6667 0.3333 0.3888



8.
The following is a GGA-PBE calculation of a relaxed Ho4Zn5Ge6 crystal, from the Materials Project.

Properties
space group: Cmc2_1, No. 36
M_tot: 0.0 μB/f.u.

Unit cell a=9.5696 b=9.5696 c=15.2595 alpha=90.00 beta=90.00 gamma=154.50
Fractional coordinates of all 30 atoms:
1 Ho 0.0184 0.9816 0.5000
2 Ho 0.0331 0.9669 0.2361
3 Ho 0.1673 0.8327 0.6966
4 Ho 0.1748 0.8252 0.0548
5 Ho 0.8252 0.1748 0.5548
6 Ho 0.8327 0.1673 0.1966
7 Ho 0.9669 0.0331 0.7361
8 Ho 0.9816 0.0184 0.0000
9 Zn 0.1517 0.8483 0.3728
10 Zn 0.3009 0.6991 0.3755
11 Zn 0.3448 0.6552 0.7263
12 Zn 0.3500 0.6500 0.0188
13 Zn 0.4347 0.5653 0.3150
14 Zn 0.5653 0.4347 0.8150
15 Zn 0.6500 0.3500 0.5188
16 Zn 0.6552 0.3448 0.2263
17 Zn 0.6991 0.3009 0.8755
18 Zn 0.8483 0.1517 0.8728
19 Ge 0.1130 0.8870 0.8826
20 Ge 0.2232 0.7768 0.5143
21 Ge 0.2284 0.7716 0.2344
22 Ge 0.4306 0.5694 0.5927
23 Ge 0.4326 0.5674 0.8703
24 Ge 0.4399 0.5601 0.1454
25 Ge 0.5601 0.4399 0.6454
26 Ge 0.5674 0.4326 0.3703
27 Ge 0.5694 0.4306 0.0927
28 Ge 0.7716 0.2284 0.7344
29 Ge 0.7768 0.2232 0.0143
30 Ge 0.8870 0.1130 0.3826



no.,formation energy (eV per atom)
1,-0.78
2,-0.44
3,-0.51
4,-0.85
5,-0.84
6,-0.69
7,-0.66
8,-0.54